Run 1
VASP calculation (GGA+U) on crystalline MnPCO4 at its relaxed geometry.

a b c (Å): 5.2062 7.3362 13.2525
angles (deg): 90.00 90.00 90.00
Closest atoms and distances in Å follow each position.
Fractional positions:
1 O 0.5884 0.3219 0.3505  1 P 1.54
2 O 0.9116 0.3219 0.8505  1 P 1.54
3 O 0.5069 0.6671 0.3738  1 P 1.55
4 O 0.9931 0.6671 0.8738  1 P 1.55
5 O 0.8350 0.9741 0.7068  1 P 1.56
6 O 0.0884 0.8219 0.1495  1 P 1.54
7 O 0.1211 0.0114 0.3854  1 C 1.15
8 O 0.4116 0.8219 0.6495  1 P 1.54
9 O 0.1650 0.4741 0.2932  1 P 1.56
10 O 0.0069 0.1671 0.1262  1 P 1.55
11 O 0.6211 0.5114 0.1146  1 C 1.15
12 O 0.3789 0.0114 0.8854  1 C 1.15
13 O 0.6650 0.9741 0.2068  1 P 1.56
14 O 0.4931 0.1671 0.6262  1 P 1.55
15 O 0.3350 0.4741 0.7932  1 P 1.56
16 O 0.8789 0.5114 0.6146  1 C 1.15
17 P 0.1111 0.4732 0.8709  3 O 1.54-1.56
18 P 0.3889 0.4732 0.3709  3 O 1.54-1.56
19 P 0.8889 0.9732 0.1291  3 O 1.54-1.56
20 P 0.6111 0.9732 0.6291  3 O 1.54-1.56
21 C 0.0538 0.0892 0.4560  1 O 1.15
22 C 0.5538 0.5892 0.0440  1 O 1.15
23 C 0.4462 0.0892 0.9560  1 O 1.15
24 C 0.9462 0.5892 0.5440  1 O 1.15
25 Mn 0.1350 0.8173 0.7566  3 O 2.02-2.05
26 Mn 0.3650 0.8173 0.2566  3 O 2.02-2.05
27 Mn 0.8650 0.3173 0.2434  3 O 2.02-2.05
28 Mn 0.6350 0.3173 0.7434  3 O 2.02-2.05

Values from the calculation:
SG ... Pna2_1, No. 33
Volume ... 18.1 A^3/atom
Total magnetic moment ... 4.000 μB/f.u.

***

Run 2
VASP calculation (GGA+U) on crystalline MnPCO4 at its relaxed geometry.

a b c (Å): 5.3859 8.8391 9.7646
angles (deg): 90.00 90.00 90.00
Closest atoms and distances in Å follow each position.
Fractional positions:
1 O 0.1731 0.7913 0.1316  1 P 1.52
2 O 0.4368 0.3383 0.5912  1 P 1.53
3 O 0.1411 0.0739 0.3791  1 C 1.20
4 O 0.3589 0.0739 0.8791  1 C 1.20
5 O 0.1525 0.5029 0.8826  1 P 1.52
6 O 0.6731 0.2913 0.3684  1 P 1.52
7 O 0.6411 0.5739 0.1209  1 C 1.20
8 O 0.8269 0.2913 0.8684  1 P 1.52
9 O 0.3269 0.7913 0.6316  1 P 1.52
10 O 0.8475 0.0029 0.1174  1 P 1.52
11 O 0.5632 0.8383 0.4088  1 P 1.53
12 O 0.9368 0.8383 0.9088  1 P 1.53
13 O 0.8589 0.5739 0.6209  1 C 1.20
14 O 0.6525 0.0029 0.6174  1 P 1.52
15 O 0.0632 0.3383 0.0912  1 P 1.53
16 O 0.3475 0.5029 0.3826  1 P 1.52
17 Mn 0.8959 0.1963 0.2289  3 O 2.00-2.05
18 Mn 0.1041 0.6963 0.7711  3 O 2.00-2.05
19 Mn 0.3959 0.6963 0.2711  3 O 2.00-2.05
20 Mn 0.6041 0.1963 0.7289  3 O 2.00-2.05
21 P 0.4627 0.9057 0.5421  3 O 1.52-1.53
22 P 0.9627 0.4057 0.9579  3 O 1.52-1.53
23 P 0.0373 0.9057 0.0421  3 O 1.52-1.53
24 P 0.5373 0.4057 0.4579  3 O 1.52-1.53
25 C 0.2911 0.0449 0.9935  1 O 1.20
26 C 0.7089 0.5449 0.0065  1 O 1.20
27 C 0.2089 0.0449 0.4935  1 O 1.20
28 C 0.7911 0.5449 0.5065  1 O 1.20

Values from the calculation:
SG ... Pna2_1, No. 33
Volume ... 16.6 A^3/atom
Total magnetic moment ... 4.000 μB/f.u.

***

Here are the energies relative to the best structure, in meV/atom: run 1 120; run 2 0.